Density functional theory data (PBE-GGA) for crystalline YPaRu2 at its relaxed geometry.

Lattice parameters (Å, degrees): 4.848 4.848 4.848 60.00 60.00 60.00
Fractional positions:
Y (0.000, 0.000, 0.000)
Pa (0.500, 0.500, 0.500)
Ru (0.250, 0.250, 0.250)
Ru (0.750, 0.750, 0.750)

Output
E_form: -0.384 eV per atom
crystal system: cubic
energy: -9.0161 eV/atom
calculated volume: 81 Å³/cell

***

Density functional theory data (PBE-GGA) for crystalline PaZnRu2 at its relaxed geometry.

Lattice parameters (Å, degrees): 4.591 4.591 4.591 60.00 60.00 60.00
Fractional positions:
Pa (0.500, 0.500, 0.500)
Zn (0.000, 0.000, 0.000)
Ru (0.250, 0.250, 0.250)
Ru (0.750, 0.750, 0.750)

Output
E_form: -0.391 eV per atom
crystal system: cubic
energy: -7.7214 eV/atom
calculated volume: 68 Å³/cell

***

Density functional theory data (PBE-GGA) for crystalline PaSb2 at its relaxed geometry.

Lattice parameters (Å, degrees): 4.334 4.334 8.754 90.00 90.00 90.00
Fractional positions:
Pa (0.000, 0.500, 0.721)
Pa (0.500, 0.000, 0.279)
Sb (0.000, 0.500, 0.360)
Sb (0.500, 0.000, 0.640)
Sb (0.000, 0.000, 0.000)
Sb (0.500, 0.500, 0.000)

Output
E_form: -0.647 eV per atom
crystal system: tetragonal
energy: -6.4434 eV/atom
calculated volume: 164 Å³/cell

***

Density functional theory data (PBE-GGA) for crystalline Pa3Sb4 at its relaxed geometry.

Lattice parameters (Å, degrees): 7.943 7.943 7.943 109.47 109.47 109.47
Fractional positions:
Pa (0.250, 0.125, 0.875)
Pa (0.125, 0.875, 0.250)
Pa (0.750, 0.375, 0.625)
Pa (0.875, 0.250, 0.125)
Pa (0.625, 0.750, 0.375)
Pa (0.375, 0.625, 0.750)
Sb (0.500, 0.000, 0.659)
Sb (0.000, 0.659, 0.500)
Sb (0.659, 0.500, 0.000)
Sb (0.000, 0.159, 0.500)
Sb (0.841, 0.841, 0.841)
Sb (0.341, 0.341, 0.341)
Sb (0.159, 0.500, 0.000)
Sb (0.500, 0.000, 0.159)

Output
E_form: -0.632 eV per atom
crystal system: cubic
energy: -6.9590 eV/atom
calculated volume: 386 Å³/cell